w:
Here is a relaxed Li3V2Fe2O8 crystal from the Materials Project database. Energies are from GGA+U.

Lattice parameters (Å, degrees): 5.703 5.708 5.712 60.16 60.10 89.09
Sites, in units of the cell vectors:
1 Li 0.000 0.000 0.000
2 Li 0.000 0.000 0.500
3 Li 0.500 0.000 0.000
4 V 0.500 0.500 0.000
5 V 0.500 0.500 0.500
6 Fe 0.000 0.500 0.000
7 Fe 0.500 0.000 0.500
8 O 0.255 0.263 0.990
9 O 0.257 0.749 0.520
10 O 0.259 0.751 0.973
11 O 0.270 0.254 0.487
12 O 0.730 0.746 0.513
13 O 0.741 0.249 0.027
14 O 0.743 0.251 0.480
15 O 0.745 0.737 0.010

Computed properties:
Space group = P-1

***

x:
Here is a relaxed Li3V2Fe2O8 crystal from the Materials Project database. Energies are from GGA+U.

Lattice parameters (Å, degrees): 5.944 5.947 5.969 60.43 60.50 60.52
Sites, in units of the cell vectors:
1 Li 0.000 0.000 0.000
2 Li 0.000 0.000 0.500
3 Li 0.000 0.500 0.000
4 V 0.500 0.000 0.500
5 V 0.500 0.500 0.500
6 Fe 0.000 0.500 0.500
7 Fe 0.500 0.500 0.000
8 O 0.254 0.260 0.269
9 O 0.258 0.721 0.265
10 O 0.268 0.733 0.746
11 O 0.271 0.269 0.715
12 O 0.729 0.731 0.285
13 O 0.732 0.267 0.254
14 O 0.742 0.279 0.735
15 O 0.746 0.740 0.731

Computed properties:
Space group = P-1

***

x wins, 88 meV per atom ahead of the next structure.